The following is a PBE with a Hubbard U calculation of UVNO6 after structural relaxation, from Materials Project.

Cell lengths 7.150, 8.462, 10.568 Å; angles 90.00, 104.34, 90.00 degrees
Space group P2_1/c (No. 14)
Inequivalent atoms, fractional coordinates:
U 0.014 0.013 0.322
V 0.111 0.643 0.556
N 0.458 0.231 0.138
O 0.032 0.061 0.108
O 0.044 0.650 0.995
O 0.078 0.709 0.718
O 0.241 0.028 0.736
O 0.264 0.073 0.378
O 0.339 0.630 0.564

Values from the calculation:
Total DFT energy (no corrections)   -275.5 eV per cell
Calculated volume   619.49 Å³ per cell
Total moment   0.321 μB per atom